1.
Below is a relaxed structure of BaSm2Te4, with properties calculated at the PBE level.

Structure (POSCAR):
```
BaSm2Te4
1.0
13.930 0.000 0.000
0.000 4.561 0.000
0.000 0.000 16.558
Ba Sm Te
4 8 16
Direct
0.240 0.250 0.168
0.260 0.750 0.668
0.740 0.250 0.332
0.760 0.750 0.832
0.063 0.250 0.391
0.080 0.250 0.903
0.420 0.750 0.403
0.437 0.750 0.891
0.563 0.250 0.109
0.580 0.250 0.597
0.920 0.750 0.097
0.937 0.750 0.609
0.026 0.750 0.784
0.090 0.250 0.578
0.130 0.750 0.029
0.206 0.750 0.333
0.294 0.250 0.833
0.370 0.250 0.529
0.410 0.750 0.078
0.474 0.250 0.284
0.526 0.750 0.716
0.590 0.250 0.922
0.630 0.750 0.471
0.706 0.750 0.167
0.794 0.250 0.667
0.870 0.250 0.971
0.910 0.750 0.422
0.974 0.250 0.216
```

Computed properties:
Its space group is Pnma. The raw total energy is -4.97 eV per atom. For the MP2020-corrected energy, the calculation gives -5.21 eV/atom.

2.
Below is a relaxed structure of Ba2Sn, with properties calculated at the PBE level.

Structure (POSCAR):
```
Ba2Sn
1.0
8.841 0.000 0.000
0.000 5.687 0.000
0.000 0.000 10.750
Ba Sn
8 4
Direct
0.022 0.250 0.178
0.153 0.250 0.579
0.347 0.750 0.079
0.478 0.750 0.678
0.522 0.250 0.322
0.653 0.250 0.921
0.847 0.750 0.421
0.978 0.750 0.822
0.248 0.250 0.896
0.252 0.750 0.396
0.748 0.250 0.604
0.752 0.750 0.104
```

Computed properties:
Its space group is Pnma. The raw total energy is -3.22 eV per atom.